Entry 1:
# Na4CaScP3O12, optimized geometry, DFT PBE-GGA
data_Na4CaScP3O12
_space_group_name_H-M_alt 'P 1'
_space_group_IT_number 1
_space_group_name_Hall 'P 1'
_cell_length_a 9.294
_cell_length_b 9.294
_cell_length_c 22.730
_cell_angle_alpha 90.00
_cell_angle_beta 90.00
_cell_angle_gamma 120.00
loop_
_atom_site_label
_atom_site_type_symbol
_atom_site_fract_x
_atom_site_fract_y
_atom_site_fract_z
Na1 Na 0.638 0.632 0.748
Na2 Na 0.971 0.299 0.415
O1 O 0.474 0.144 0.245
Na3 Na 0.333 0.667 0.166
O2 O 0.223 0.020 0.307
Na4 Na 0.971 0.673 0.915
P1 P 0.363 0.036 0.584
O3 O 0.855 0.360 0.920
Na5 Na 0.661 0.695 0.082
O4 O 0.856 0.526 0.745
Na6 Na 0.305 0.965 0.082
Ca1 Ca 0.333 0.667 0.015
Na7 Na 0.035 0.695 0.582
O5 O 0.523 0.860 0.079
O6 O 0.337 0.860 0.579
P2 P 0.630 0.971 0.417
Ca2 Ca 0.000 0.000 0.348
P3 P 0.696 0.993 0.751
P4 P 0.674 0.036 0.084
O7 O 0.183 0.972 0.196
O8 O 0.850 0.305 0.529
Na8 Na 0.994 0.362 0.748
P5 P 0.964 0.637 0.084
Na9 Na 0.638 0.006 0.248
O9 O 0.189 0.027 0.587
Ca3 Ca 0.333 0.667 0.515
O10 O 0.856 0.330 0.245
Na10 Na 0.333 0.667 0.666
Ca4 Ca 0.667 0.333 0.682
O11 O 0.130 0.444 0.973
O12 O 0.189 0.193 0.412
P6 P 0.363 0.326 0.084
Na11 Na 0.661 0.965 0.582
O13 O 0.647 0.110 0.140
O14 O 0.122 0.483 0.863
O15 O 0.140 0.477 0.579
Na12 Na 0.994 0.632 0.248
P7 P 0.964 0.326 0.584
P8 P 0.674 0.637 0.584
O16 O 0.640 0.145 0.420
Na13 Na 0.327 0.299 0.915
O17 O 0.556 0.686 0.973
P9 P 0.297 0.993 0.251
Sc1 Sc 0.000 0.000 0.651
O18 O 0.522 0.829 0.754
O19 O 0.695 0.545 0.529
O20 O 0.890 0.537 0.140
O21 O 0.670 0.526 0.245
P10 P 0.340 0.971 0.917
O22 O 0.130 0.686 0.473
O23 O 0.455 0.305 0.029
O24 O 0.789 0.817 0.196
O25 O 0.640 0.495 0.920
O26 O 0.973 0.162 0.587
Sc2 Sc 0.333 0.667 0.818
Na14 Na 0.000 0.000 0.499
O27 O 0.807 0.811 0.912
P11 P 0.007 0.304 0.251
P12 P 0.630 0.660 0.917
O28 O 0.838 0.027 0.087
Ca5 Ca 0.667 0.333 0.182
Na15 Na 0.327 0.029 0.415
O29 O 0.789 0.972 0.696
O30 O 0.855 0.495 0.420
O31 O 0.850 0.545 0.029
O32 O 0.183 0.211 0.696
O33 O 0.556 0.870 0.473
P13 P 0.297 0.304 0.751
P14 P 0.007 0.703 0.751
O34 O 0.973 0.811 0.087
O35 O 0.028 0.211 0.196
O36 O 0.463 0.353 0.140
Sc3 Sc 0.667 0.333 0.984
Na16 Na 0.667 0.333 0.832
O37 O 0.314 0.870 0.973
Ca6 Ca 0.000 0.000 0.848
Na17 Na 0.368 0.006 0.748
O38 O 0.474 0.330 0.745
O39 O 0.307 0.478 0.754
O40 O 0.838 0.811 0.587
O41 O 0.307 0.829 0.254
O42 O 0.890 0.353 0.640
O43 O 0.004 0.193 0.912
P15 P 0.696 0.703 0.251
Na18 Na 0.701 0.029 0.915
O44 O 0.523 0.663 0.579
Sc4 Sc 0.667 0.333 0.484
O45 O 0.980 0.203 0.307
O46 O 0.455 0.150 0.529
Na19 Na 0.305 0.339 0.582
O47 O 0.361 0.483 0.363
O48 O 0.807 0.996 0.412
O49 O 0.517 0.878 0.363
O50 O 0.223 0.203 0.807
Na20 Na 0.035 0.339 0.082
O51 O 0.189 0.162 0.087
Na21 Na 0.000 0.000 0.999
O52 O 0.797 0.020 0.807
O53 O 0.517 0.639 0.863
O54 O 0.670 0.144 0.745
O55 O 0.140 0.663 0.079
O56 O 0.171 0.693 0.754
O57 O 0.647 0.537 0.640
O58 O 0.314 0.444 0.473
Na22 Na 0.368 0.362 0.248
O59 O 0.980 0.777 0.807
O60 O 0.028 0.817 0.696
O61 O 0.122 0.639 0.363
Na23 Na 0.667 0.333 0.332
O62 O 0.505 0.145 0.920
P16 P 0.340 0.370 0.417
O63 O 0.361 0.878 0.863
O64 O 0.004 0.811 0.412
O65 O 0.695 0.150 0.029
O66 O 0.171 0.478 0.254
O67 O 0.522 0.693 0.254
O68 O 0.505 0.360 0.420
P17 P 0.029 0.660 0.417
Sc5 Sc 0.000 0.000 0.151
Sc6 Sc 0.333 0.667 0.318
O69 O 0.337 0.477 0.079
P18 P 0.029 0.370 0.917
O70 O 0.797 0.777 0.307
O71 O 0.189 0.996 0.912
O72 O 0.463 0.110 0.640
Na24 Na 0.701 0.673 0.415
# * ρ: 2707 kg/m3
# * E_tot: -6.79 eV/atom
# * volume: 1700 Å³/cell
# * E_form: -2.9313 eV/atom

Entry 2:
# Mg3In, optimized geometry, DFT PBE-GGA
data_Mg3In
_space_group_name_H-M_alt 'P 1'
_space_group_IT_number 1
_space_group_name_Hall 'P 1'
_cell_length_a 8.358
_cell_length_b 8.358
_cell_length_c 8.358
_cell_angle_alpha 59.93
_cell_angle_beta 59.93
_cell_angle_gamma 59.93
loop_
_atom_site_label
_atom_site_type_symbol
_atom_site_fract_x
_atom_site_fract_y
_atom_site_fract_z
In1 In 0.326 0.326 0.326
Mg1 Mg 0.937 0.318 0.937
Mg2 Mg 0.682 0.063 0.063
Mg3 Mg 0.570 0.182 0.570
In2 In 0.184 0.184 0.184
Mg4 Mg 0.430 0.818 0.430
Mg5 Mg 0.937 0.937 0.318
Mg6 Mg 0.182 0.570 0.570
Mg7 Mg 0.818 0.430 0.430
Mg8 Mg 0.063 0.682 0.063
In3 In 0.674 0.674 0.674
Mg9 Mg 0.430 0.430 0.818
Mg10 Mg 0.570 0.570 0.182
Mg11 Mg 0.063 0.063 0.682
In4 In 0.816 0.816 0.816
Mg12 Mg 0.318 0.937 0.937
# * space group: R-3m, No. 166
# * ρ: 3025 kg/m3
# * E_tot: -1.75 eV/atom
# * volume: 412 Å³/cell
# * E_form: 0.1424 eV/atom

Entry 3:
# NaGa3, optimized geometry, DFT PBE-GGA
data_NaGa3
_space_group_name_H-M_alt 'P 1'
_space_group_IT_number 1
_space_group_name_Hall 'P 1'
_cell_length_a 4.275
_cell_length_b 4.275
_cell_length_c 4.275
_cell_angle_alpha 90.00
_cell_angle_beta 90.00
_cell_angle_gamma 90.00
loop_
_atom_site_label
_atom_site_type_symbol
_atom_site_fract_x
_atom_site_fract_y
_atom_site_fract_z
Ga1 Ga 0.000 0.500 0.500
Ga2 Ga 0.500 0.000 0.500
Ga3 Ga 0.500 0.500 0.000
Na1 Na 0.000 0.000 0.000
# * space group: Pm-3m, No. 221
# * ρ: 4933 kg/m3
# * E_tot: -2.62 eV/atom
# * volume: 78 Å³/cell
# * E_form: -0.0187 eV/atom

Entry 4:
# U2PbS5, optimized geometry, DFT PBE-GGA
data_U2PbS5
_space_group_name_H-M_alt 'P 1'
_space_group_IT_number 1
_space_group_name_Hall 'P 1'
_cell_length_a 7.403
_cell_length_b 7.715
_cell_length_c 12.309
_cell_angle_alpha 90.00
_cell_angle_beta 90.00
_cell_angle_gamma 90.00
loop_
_atom_site_label
_atom_site_type_symbol
_atom_site_fract_x
_atom_site_fract_y
_atom_site_fract_z
Pb1 Pb 0.441 0.750 0.991
U1 U 0.485 0.003 0.679
S1 S 0.821 0.750 0.309
U2 U 0.485 0.497 0.679
S2 S 0.832 0.535 0.623
S3 S 0.168 0.465 0.377
U3 U 0.015 0.003 0.179
Pb2 Pb 0.559 0.250 0.009
S4 S 0.679 0.750 0.809
U4 U 0.985 0.997 0.821
S5 S 0.668 0.965 0.123
S6 S 0.200 0.750 0.713
S7 S 0.984 0.250 0.004
S8 S 0.168 0.035 0.377
S9 S 0.484 0.750 0.496
S10 S 0.800 0.250 0.287
S11 S 0.332 0.465 0.877
S12 S 0.700 0.250 0.787
U5 U 0.985 0.503 0.821
U6 U 0.515 0.503 0.321
S13 S 0.332 0.035 0.877
S14 S 0.016 0.750 0.996
S15 S 0.179 0.250 0.691
S16 S 0.321 0.250 0.191
U7 U 0.515 0.997 0.321
Pb3 Pb 0.059 0.750 0.491
S17 S 0.668 0.535 0.123
S18 S 0.516 0.250 0.504
S19 S 0.300 0.750 0.213
S20 S 0.832 0.965 0.623
Pb4 Pb 0.941 0.250 0.509
U8 U 0.015 0.497 0.179
# * space group: Pnma, No. 62
# * ρ: 7970 kg/m3
# * E_tot: -6.91 eV/atom
# * volume: 703 Å³/cell
# * E_form: -1.3513 eV/atom

Question: Number 4 is which compound?
Answer: U2PbS5

Question: Which of these has the lowest E_tot?
Answer: U2PbS5

Question: Which of these has the lowest volume?
Answer: NaGa3